<one>
A plane-wave DFT calculation with PBE with a Hubbard U was carried out for Mn2CoO6 after structural relaxation.

Cell: 5.1009 5.1009 9.2336 Å, 90.00 90.00 120.17°
Fractional coordinates of all 18 atoms:
O 0.8356 0.8356 0.6028
Mn 0.1668 0.8332 0.5000
O 0.3368 0.9994 0.1038
O 0.8368 0.4994 0.3962
O 0.0006 0.6632 0.8962
O 0.3356 0.3356 0.8972
Co 0.0000 0.0000 0.0000
O 0.5006 0.1632 0.6038
O 0.6644 0.6644 0.1028
O 0.9994 0.3368 0.1038
Mn 0.8332 0.1668 0.5000
O 0.1632 0.5006 0.6038
Mn 0.3332 0.6668 0.0000
O 0.1644 0.1644 0.3972
Mn 0.6668 0.3332 0.0000
O 0.4994 0.8368 0.3962
O 0.6632 0.0006 0.8962
Co 0.5000 0.5000 0.5000

Computed properties:
SG   Cmce, No. 64
Total moment   1.000 μB per atom


<two>
A plane-wave DFT calculation with PBE with a Hubbard U was carried out for Mn2CoO6 after structural relaxation.

Cell: 6.5235 6.5235 5.8591 Å, 76.11 76.11 25.67°
Fractional coordinates of all 9 atoms:
Mn 0.6660 0.6660 0.1699
O 0.4902 0.4902 0.7143
O 0.1528 0.1528 0.3930
O 0.8231 0.8231 0.0553
Co 0.0000 0.0000 0.5000
O 0.5098 0.5098 0.2857
O 0.8472 0.8472 0.6070
O 0.1769 0.1769 0.9447
Mn 0.3340 0.3340 0.8301

Computed properties:
SG   C2/m, No. 12
Total moment   0.778 μB per atom


What are the relative energies? In meV/atom: <one> 111; <two> 0.


<one>
A plane-wave DFT calculation with PBE with a Hubbard U was carried out for MnCo2O4 after structural relaxation.

Cell: 5.7998 5.8574 10.1199 Å, 89.17 106.23 118.81°
Fractional coordinates of all 28 atoms:
O 0.7573 0.3643 0.1435
O 0.7253 0.1040 0.3567
Co 0.8789 0.6881 0.0601
O 0.2726 0.1739 0.3716
Mn 0.0087 0.2610 0.2545
Co 0.4937 0.7436 0.7469
O 0.7222 0.6021 0.8524
O 0.7100 0.0945 0.8595
O 0.7070 0.3661 0.6208
O 0.2820 0.4006 0.1452
Mn 0.9912 0.7416 0.7465
O 0.2715 0.8952 0.6489
O 0.2806 0.1256 0.8766
O 0.2905 0.6300 0.3757
Co 0.8699 0.1828 0.5616
O 0.2867 0.4000 0.6316
Co 0.1216 0.3111 0.9397
O 0.7253 0.8782 0.1256
Co 0.5050 0.2564 0.2527
O 0.2463 0.6371 0.8586
Co 0.4964 0.2484 0.7485
O 0.2909 0.9064 0.1400
Mn 0.1255 0.8198 0.4388
Mn 0.5013 0.0000 0.0004
O 0.7032 0.5951 0.3664
Co 0.5033 0.7518 0.2512
Co 0.4984 0.5001 0.4991
O 0.7257 0.8318 0.6252

Computed properties:
SG   P1, No. 1
Total moment   0.929 μB per atom


<two>
A plane-wave DFT calculation with PBE with a Hubbard U was carried out for MnCo2O4 after structural relaxation.

Cell: 6.0409 6.0409 6.0409 Å, 60.00 60.00 60.00°
Fractional coordinates of all 14 atoms:
O 0.3631 0.3631 0.3631
O 0.9107 0.3631 0.3631
O 0.3631 0.9107 0.3631
Co 0.1250 0.1250 0.6250
Co 0.6250 0.1250 0.1250
Co 0.1250 0.1250 0.1250
O 0.8869 0.8869 0.3393
O 0.3393 0.8869 0.8869
O 0.8869 0.8869 0.8869
Co 0.1250 0.6250 0.1250
O 0.3631 0.3631 0.9107
Mn 0.5000 0.5000 0.5000
O 0.8869 0.3393 0.8869
Mn 0.7500 0.7500 0.7500

Computed properties:
SG   Fd-3m, No. 227
Total moment   0.714 μB per atom


What are the relative energies? In meV/atom: <one> 0; <two> 91.


<one>
A plane-wave DFT calculation with PBE with a Hubbard U was carried out for NaCo2Mo2O10 after structural relaxation.

Cell: 5.7955 5.8290 8.0978 Å, 66.74 66.17 61.48°
Fractional coordinates of all 15 atoms:
O 0.3454 0.3399 0.6012
O 0.2831 0.2787 0.9870
Mo 0.4289 0.4310 0.7629
O 0.6546 0.6601 0.3988
Co 0.5000 0.0000 0.5000
Mo 0.5711 0.5690 0.2371
Co 0.0000 0.5000 0.5000
O 0.1755 0.2030 0.4225
O 0.8245 0.7970 0.5775
O 0.7015 0.2128 0.2544
O 0.7169 0.7213 0.0130
Na 0.0000 0.0000 0.0000
O 0.2985 0.7872 0.7456
O 0.7922 0.3051 0.7379
O 0.2078 0.6949 0.2621

Computed properties:
SG   P-1, No. 2
Total moment   0.466 μB per atom


<two>
A plane-wave DFT calculation with PBE with a Hubbard U was carried out for NaCo2Mo2O10 after structural relaxation.

Cell: 5.8059 5.8059 8.1055 Å, 66.88 66.88 61.23°
Fractional coordinates of all 15 atoms:
O 0.1892 0.1892 0.4225
O 0.7893 0.2999 0.7427
O 0.7183 0.7183 0.0121
Mo 0.5712 0.5712 0.2351
Co 0.0000 0.5000 0.5000
O 0.8108 0.8108 0.5775
O 0.2817 0.2817 0.9879
O 0.3418 0.3418 0.6014
Mo 0.4288 0.4288 0.7649
O 0.2999 0.7893 0.7427
O 0.2107 0.7001 0.2573
O 0.6582 0.6582 0.3986
O 0.7001 0.2107 0.2573
Na 0.0000 0.0000 0.0000
Co 0.5000 0.0000 0.5000

Computed properties:
SG   C2/m, No. 12
Total moment   0.333 μB per atom


What are the relative energies? In meV/atom: <one> 11; <two> 0.


<one>
A plane-wave DFT calculation with PBE with a Hubbard U was carried out for CoMoO4 after structural relaxation.

Cell: 6.6334 6.6334 7.8161 Å, 72.65 72.65 85.27°
Fractional coordinates of all 24 atoms:
O 0.9912 0.3196 0.9236
O 0.6837 0.9916 0.5814
Co 0.6905 0.6905 0.1589
O 0.3163 0.0084 0.4186
Mo 0.7154 0.2846 0.0000
O 0.6515 0.6515 0.9148
O 0.0084 0.3163 0.4186
O 0.9916 0.6837 0.5814
O 0.3522 0.6534 0.7620
Co 0.3115 0.6885 0.5000
Mo 0.2843 0.2843 0.3584
O 0.6496 0.6496 0.4406
Mo 0.7157 0.7157 0.6416
O 0.6478 0.3466 0.2380
O 0.3196 0.9912 0.9236
O 0.3466 0.6478 0.2380
Co 0.6885 0.3115 0.5000
O 0.0088 0.6804 0.0764
O 0.6804 0.0088 0.0764
O 0.3485 0.3485 0.0852
Co 0.3095 0.3095 0.8411
O 0.6534 0.3522 0.7620
Mo 0.2846 0.7154 0.0000
O 0.3504 0.3504 0.5594

Computed properties:
SG   C2/m, No. 12


<two>
A plane-wave DFT calculation with PBE with a Hubbard U was carried out for CoMoO4 after structural relaxation.

Cell: 5.4957 4.4905 4.9916 Å, 89.69 90.00 90.00°
Fractional coordinates of all 12 atoms:
O 0.8770 0.7629 0.9128
O 0.3876 0.7238 0.9186
Co 0.6383 0.5000 0.7500
Mo 0.1659 0.0000 0.7500
O 0.3876 0.2762 0.5814
O 0.6124 0.2762 0.0814
O 0.6124 0.7238 0.4186
Mo 0.8341 0.0000 0.2500
Co 0.3617 0.5000 0.2500
O 0.8770 0.2371 0.5872
O 0.1230 0.2371 0.0872
O 0.1230 0.7629 0.4128

Computed properties:
SG   P2/c, No. 13
Total moment   0.500 μB per atom


What are the relative energies? In meV/atom: <one> 0; <two> 101.


<one>
A plane-wave DFT calculation with PBE with a Hubbard U was carried out for Na3Co5O10 after structural relaxation.

Cell: 4.9809 9.2600 9.2597 Å, 75.08 85.31 94.69°
Fractional coordinates of all 36 atoms:
Co 0.4961 0.2886 0.3090
Na 0.4227 0.4489 0.9568
O 0.7004 0.8920 0.7126
Co 0.0050 0.6111 0.5986
O 0.7004 0.0874 0.9080
Co 0.5005 0.9043 0.8957
O 0.1857 0.9855 0.8145
Na 0.9220 0.3487 0.8474
O 0.3048 0.0899 0.2762
O 0.7957 0.0000 0.1797
Co 0.0027 0.4152 0.3849
Co 0.5001 0.7081 0.7036
O 0.2157 0.6034 0.4094
Na 0.4086 0.6436 0.1564
O 0.7957 0.6204 0.8001
O 0.6887 0.7100 0.5240
Co 0.4961 0.4911 0.5114
O 0.1916 0.7962 0.6170
O 0.6939 0.4919 0.3080
Na 0.9220 0.9526 0.4513
Co 0.5001 0.0964 0.0919
O 0.3048 0.5238 0.7101
Co 0.9970 0.9948 0.0000
O 0.3087 0.9112 0.0834
O 0.3087 0.7167 0.8888
O 0.6887 0.2760 0.0900
Co 0.9970 0.8000 0.8052
O 0.8131 0.2002 0.3771
O 0.1916 0.1830 0.0038
Na 0.9038 0.1549 0.6451
O 0.2157 0.3905 0.1966
Co 0.0050 0.2014 0.1889
Na 0.4226 0.8432 0.3511
O 0.2864 0.3047 0.4953
O 0.8131 0.4230 0.5998
O 0.8029 0.8156 0.9845

Computed properties:
SG   Cm, No. 8
Total moment   0.556 μB per atom


<two>
A plane-wave DFT calculation with PBE with a Hubbard U was carried out for Na3Co5O10 after structural relaxation.

Cell: 6.4645 8.6296 7.6226 Å, 75.13 80.52 99.50°
Fractional coordinates of all 36 atoms:
Co 0.1089 0.0995 0.5931
Na 0.1360 0.6316 0.7995
O 0.3959 0.2177 0.6052
O 0.5187 0.6899 0.7977
O 0.0147 0.1884 0.8128
Co 0.2960 0.3065 0.8029
O 0.8037 0.9885 0.6021
O 0.2861 0.1113 0.9978
O 0.1874 0.0026 0.3885
O 0.6903 0.5153 0.3916
O 0.9124 0.0914 0.1961
O 0.0724 0.8996 0.8126
O 0.2165 0.3966 0.9982
O 0.4845 0.3046 0.2015
O 0.3132 0.4983 0.6053
Co 0.6039 0.6005 0.6004
Na 0.2349 0.7327 0.4027
Co 0.5040 0.4984 0.9995
O 0.5784 0.4058 0.8006
Co 0.7906 0.8019 0.8001
Co 0.3948 0.4030 0.4005
Co 0.0007 0.9993 0.0016
O 0.7871 0.6129 0.9999
Na 0.0393 0.5324 0.1930
O 0.4130 0.5939 0.1992
Co 0.1973 0.2011 0.1975
O 0.6098 0.7919 0.3974
Na 0.6369 0.1303 0.7998
O 0.9776 0.8056 0.2021
Co 0.6951 0.7011 0.2013
O 0.1040 0.2939 0.3941
Na 0.7355 0.2294 0.3990
Na 0.5364 0.0343 0.1996
O 0.7107 0.8943 0.0036
O 0.8864 0.7112 0.6031
Co 0.8949 0.9000 0.4002

Computed properties:
SG   P1, No. 1
Total moment   0.111 μB per atom


What are the relative energies? In meV/atom: <one> 74; <two> 0.


<one>
A plane-wave DFT calculation with PBE with a Hubbard U was carried out for Na2Co3O6 after structural relaxation.

Cell: 6.8476 6.8476 8.1115 Å, 90.00 90.00 102.03°
Fractional coordinates of all 22 atoms:
O 0.6831 0.0072 0.7499
Co 0.7179 0.2821 0.2300
O 0.0971 0.9029 0.1906
O 0.7509 0.5546 0.8068
O 0.4454 0.2491 0.8068
Co 0.8276 0.8195 0.2124
Na 0.0123 0.5486 0.0000
O 0.9928 0.3169 0.2501
Co 0.7179 0.2821 0.7700
O 0.9928 0.3169 0.7499
O 0.3395 0.6605 0.5762
O 0.4454 0.2491 0.1932
O 0.6831 0.0072 0.2501
O 0.7509 0.5546 0.1932
Na 0.9011 0.0989 0.5000
O 0.0971 0.9029 0.8094
O 0.3395 0.6605 0.4238
Co 0.1805 0.1724 0.2124
Co 0.1805 0.1724 0.7876
Co 0.8276 0.8195 0.7876
Na 0.4514 0.9877 0.0000
Na 0.5022 0.4978 0.0000

Computed properties:
SG   Amm2, No. 38
Total moment   0.909 μB per atom


<two>
A plane-wave DFT calculation with PBE with a Hubbard U was carried out for Na2Co3O6 after structural relaxation.

Cell: 17.1781 11.1312 6.7489 Å, 90.00 90.00 13.59°
Fractional coordinates of all 22 atoms:
Co 0.6715 0.0028 0.4996
O 0.6742 0.6117 0.4770
Co 0.9952 0.0172 0.0004
O 0.6641 0.4043 0.9991
Na 0.9937 0.2582 0.2500
Co 0.9952 0.0172 0.4996
O 0.9925 0.6342 0.0230
Co 0.3333 0.0142 0.0057
Na 0.6730 0.2392 0.2500
Na 0.3333 0.2444 0.2500
O 0.0026 0.3965 0.5009
O 0.9925 0.6342 0.4770
O 0.0026 0.3965 0.9991
Co 0.6715 0.0028 0.0004
O 0.3333 0.6210 0.4866
Co 0.3333 0.0142 0.4943
O 0.3333 0.4046 0.0147
O 0.3333 0.4046 0.4853
O 0.3333 0.6210 0.0134
O 0.6641 0.4043 0.5009
Na 0.3333 0.7753 0.7500
O 0.6742 0.6117 0.0230

Computed properties:
SG   Amm2, No. 38
Total moment   0.636 μB per atom


What are the relative energies? In meV/atom: <one> 478; <two> 0.


<one>
A plane-wave DFT calculation with PBE with a Hubbard U was carried out for NaCo2O4 after structural relaxation.

Cell: 2.9850 5.0929 5.9401 Å, 109.31 92.56 86.31°
Fractional coordinates of all 7 atoms:
Na 0.9984 0.8440 0.4980
O 0.4978 0.8816 0.1863
O 0.4910 0.1002 0.8212
Co 0.4865 0.4939 0.9814
Co 0.0044 0.0117 0.0207
O 0.9314 0.4149 0.1778
O 0.0540 0.5962 0.8056

Computed properties:
SG   P1, No. 1
Total moment   0.429 μB per atom


<two>
A plane-wave DFT calculation with PBE with a Hubbard U was carried out for NaCo2O4 after structural relaxation.

Cell: 3.0400 3.0400 10.8149 Å, 90.00 90.00 122.34°
Fractional coordinates of all 7 atoms:
O 0.6528 0.3472 0.1502
Na 0.3308 0.6692 0.0000
Co 0.9975 0.0025 0.7446
Co 0.9975 0.0025 0.2554
O 0.3509 0.6491 0.3359
O 0.6528 0.3472 0.8498
O 0.3509 0.6491 0.6641

Computed properties:
SG   Amm2, No. 38
Total moment   0.143 μB per atom


What are the relative energies? In meV/atom: <one> 0; <two> 83.


<one>
A plane-wave DFT calculation with PBE with a Hubbard U was carried out for NaCo2O4 after structural relaxation.

Cell: 4.8770 5.6450 11.3845 Å, 90.00 90.00 90.00°
Fractional coordinates of all 28 atoms:
O 0.1631 0.2487 0.6608
Co 0.5000 0.7500 0.7500
Co 0.0029 0.0000 0.7529
O 0.1631 0.7513 0.3392
Co 0.9971 0.5000 0.2529
O 0.6688 0.5000 0.3381
O 0.3234 0.5000 0.8348
O 0.8369 0.7487 0.8392
Co 0.5000 0.2500 0.2500
O 0.1631 0.7513 0.6608
O 0.3234 0.5000 0.1652
O 0.3312 0.0000 0.1619
Co 0.5000 0.7500 0.2500
O 0.8369 0.2513 0.1608
Na 0.9628 0.0000 0.5000
Na 0.0372 0.5000 0.0000
O 0.1631 0.2487 0.3392
Co 0.9971 0.5000 0.7471
O 0.6766 0.0000 0.6652
Co 0.5000 0.2500 0.7500
Co 0.0029 0.0000 0.2471
O 0.6688 0.5000 0.6619
O 0.3312 0.0000 0.8381
Na 0.6397 0.0000 0.0000
O 0.8369 0.2513 0.8392
Na 0.3603 0.5000 0.5000
O 0.8369 0.7487 0.1608
O 0.6766 0.0000 0.3348

Computed properties:
SG   Pmmn, No. 59


<two>
A plane-wave DFT calculation with PBE with a Hubbard U was carried out for NaCo2O4 after structural relaxation.

Cell: 11.2557 11.2557 11.2557 Å, 15.31 15.31 15.31°
Fractional coordinates of all 7 atoms:
O 0.2985 0.2985 0.2985
O 0.1999 0.1999 0.1999
O 0.8056 0.8056 0.8056
O 0.6939 0.6939 0.6939
Na 0.5841 0.5841 0.5841
Co 0.0015 0.0015 0.0015
Co 0.4985 0.4985 0.4985

Computed properties:
SG   R3m, No. 160
Total moment   1.079 μB per atom


What are the relative energies? In meV/atom: <one> 0; <two> 384.